# 1
Material: LiFe4P3O12
Method: DFT, PBE with a Hubbard U
State: optimized geometry

Calculated values
**ΔE_f**: -2307 meV per atom
**Distance to the lowest polymorph of the same formula**: 3 meV/atom
**Symmetry**: Pnma
**Magnetization**: 64.00 Bohr magnetons per cell

a = 10.112 Å, b = 6.425 Å, c = 15.818 Å
α = 90.00°, β = 90.00°, γ = 90.00°
Fractional coordinates of all 80 atoms:
Li: 0.244 0.250 0.214
Li: 0.256 0.750 0.714
Li: 0.744 0.250 0.286
Li: 0.756 0.750 0.786
Fe: 0.055 0.250 0.624
Fe: 0.066 0.750 0.127
Fe: 0.248 0.002 0.940
Fe: 0.248 0.498 0.940
Fe: 0.252 0.502 0.440
Fe: 0.252 0.998 0.440
Fe: 0.434 0.250 0.627
Fe: 0.445 0.750 0.124
Fe: 0.555 0.250 0.876
Fe: 0.566 0.750 0.373
Fe: 0.748 0.002 0.560
Fe: 0.748 0.498 0.560
Fe: 0.752 0.502 0.060
Fe: 0.752 0.998 0.060
Fe: 0.934 0.250 0.873
Fe: 0.945 0.750 0.376
P: 0.032 0.750 0.565
P: 0.045 0.250 0.060
P: 0.203 0.250 0.771
P: 0.297 0.750 0.271
P: 0.455 0.750 0.560
P: 0.468 0.250 0.065
P: 0.532 0.750 0.935
P: 0.545 0.250 0.440
P: 0.703 0.250 0.729
P: 0.797 0.750 0.229
P: 0.955 0.750 0.940
P: 0.968 0.250 0.435
O: 0.049 0.250 0.765
O: 0.064 0.558 0.617
O: 0.064 0.942 0.617
O: 0.097 0.058 0.107
O: 0.097 0.442 0.107
O: 0.105 0.250 0.967
O: 0.109 0.750 0.951
O: 0.117 0.250 0.466
O: 0.117 0.750 0.480
O: 0.247 0.546 0.315
O: 0.247 0.954 0.315
O: 0.248 0.250 0.678
O: 0.252 0.750 0.178
O: 0.253 0.046 0.815
O: 0.253 0.454 0.815
O: 0.383 0.250 0.980
O: 0.383 0.750 0.966
O: 0.391 0.250 0.451
O: 0.395 0.750 0.467
O: 0.403 0.558 0.607
O: 0.403 0.942 0.607
O: 0.436 0.058 0.117
O: 0.436 0.442 0.117
O: 0.451 0.750 0.265
O: 0.549 0.250 0.735
O: 0.564 0.558 0.883
O: 0.564 0.942 0.883
O: 0.597 0.058 0.393
O: 0.597 0.442 0.393
O: 0.605 0.250 0.533
O: 0.609 0.750 0.549
O: 0.617 0.250 0.034
O: 0.617 0.750 0.020
O: 0.747 0.546 0.185
O: 0.747 0.954 0.185
O: 0.748 0.250 0.822
O: 0.752 0.750 0.322
O: 0.753 0.046 0.685
O: 0.753 0.454 0.685
O: 0.883 0.250 0.520
O: 0.883 0.750 0.534
O: 0.891 0.250 0.049
O: 0.895 0.750 0.033
O: 0.903 0.558 0.893
O: 0.903 0.942 0.893
O: 0.936 0.058 0.383
O: 0.936 0.442 0.383
O: 0.951 0.750 0.235

# 2
Material: KCeFeMoO6
Method: DFT, PBE with a Hubbard U
State: optimized geometry

Calculated values
**ΔE_f**: -1852 meV per atom
**Symmetry**: Pc
**Magnetization**: 14.00 Bohr magnetons per cell

a = 5.955 Å, b = 6.321 Å, c = 9.813 Å
α = 90.00°, β = 121.13°, γ = 90.00°
Fractional coordinates of all 20 atoms:
K: 0.000 0.200 0.000
K: 0.000 0.800 0.500
Ce: 0.448 0.219 0.438
Ce: 0.448 0.781 0.938
Fe: 0.773 0.394 0.244
Fe: 0.773 0.606 0.744
Mo: 0.225 0.307 0.750
Mo: 0.225 0.693 0.250
O: 0.145 0.009 0.810
O: 0.145 0.991 0.310
O: 0.153 0.463 0.388
O: 0.153 0.537 0.888
O: 0.478 0.466 0.274
O: 0.478 0.534 0.774
O: 0.492 0.132 0.703
O: 0.492 0.868 0.203
O: 0.530 0.100 0.231
O: 0.530 0.900 0.731
O: 0.827 0.382 0.607
O: 0.827 0.618 0.107

# 3
Material: ReW2O8
Method: DFT, PBE with a Hubbard U
State: optimized geometry

Calculated values
**ΔE_f**: -1733 meV per atom
**Distance to the lowest polymorph of the same formula**: 201 meV/atom
**Symmetry**: P-1
**Magnetization**: 3.00 Bohr magnetons per cell

a = 4.967 Å, b = 6.129 Å, c = 6.445 Å
α = 62.68°, β = 88.31°, γ = 69.86°
Fractional coordinates of all 11 atoms:
Re: 0.000 0.000 0.000
W: 0.233 0.525 0.817
W: 0.767 0.475 0.183
O: 0.144 0.279 0.190
O: 0.172 0.244 0.794
O: 0.302 0.708 0.535
O: 0.334 0.703 0.006
O: 0.666 0.297 0.994
O: 0.698 0.292 0.465
O: 0.828 0.756 0.206
O: 0.856 0.721 0.810